Record 1
Density functional theory data (PBE-GGA) for Tl after structural relaxation.

Cell and atoms, written as extended XYZ:
```
2
Lattice="1.7745 -3.0735 0.0000 1.7745 3.0735 0.0000 0.0000 0.0000 5.7384" Properties=species:S:1:pos:R:3 pbc="T T T"
Tl 1.7745 -1.0245 1.4346
Tl 1.7745 1.0245 4.3038
```

## Properties
Energy of formation from the pure elements   0.1 kcal/mol of atoms
Polymorph energy (0 for the lowest one)   4 meV per atom
Calculated total energy   -2.359 eV/atom
Crystal system   hexagonal



Record 2
Density functional theory data (PBE-GGA) for Tl after structural relaxation.

Cell and atoms, written as extended XYZ:
```
1
Lattice="-1.9818 1.9818 1.9818 1.9818 -1.9818 1.9818 1.9818 1.9818 -1.9818" Properties=species:S:1:pos:R:3 pbc="T T T"
Tl 0.0000 0.0000 0.0000
```

## Properties
Energy of formation from the pure elements   0.0 kcal/mol of atoms
Polymorph energy (0 for the lowest one)   1 meV per atom
Calculated total energy   -2.362 eV/atom
Crystal system   cubic



Record 3
Density functional theory data (PBE-GGA) for Tl after structural relaxation.

Cell and atoms, written as extended XYZ:
```
4
Lattice="1.7728 -3.0705 0.0000 1.7728 3.0705 0.0000 0.0000 0.0000 11.4356" Properties=species:S:1:pos:R:3 pbc="T T T"
Tl 0.0000 0.0000 0.0000
Tl 1.7728 1.0235 2.8589
Tl 0.0000 0.0000 5.7178
Tl 1.7728 -1.0235 8.5767
```

## Properties
Energy of formation from the pure elements   0.6 kcal/mol of atoms
Polymorph energy (0 for the lowest one)   26 meV per atom
Calculated total energy   -2.337 eV/atom
Crystal system   hexagonal



Record 4
Density functional theory data (PBE-GGA) for Tl after structural relaxation.

Cell and atoms, written as extended XYZ:
```
29
Lattice="-0.8013 -5.0589 9.2944 3.2957 9.9499 1.6609 -9.4796 0.1628 -4.7677" Properties=species:S:1:pos:R:3 pbc="T T T"
Tl -6.0935 -0.5444 3.5584
Tl -3.2433 -0.0088 1.9983
Tl -3.4857 -2.9758 4.0502
Tl -6.5805 -3.9910 4.5360
Tl -8.1708 -3.0341 1.9590
Tl -5.8112 2.0810 0.9728
Tl -1.7599 5.1847 3.0114
Tl -4.6278 3.2528 -2.3264
Tl -0.2912 -1.8386 3.3778
Tl -0.9634 3.3857 6.1399
Tl -5.9271 -1.5069 0.0943
Tl -7.2661 1.0669 -1.8020
Tl -2.4610 2.8572 0.5406
Tl -1.8353 -2.2007 6.9978
Tl 1.7181 4.3501 3.9414
Tl -3.0591 0.4251 5.4322
Tl -4.4483 5.4826 0.4931
Tl -1.0340 6.0060 -0.5180
Tl 0.7285 7.1915 2.2209
Tl 0.0000 0.0000 0.0000
Tl -3.2659 8.1518 -1.6398
Tl 1.4141 2.1336 8.5589
Tl 1.1977 3.6161 0.6036
Tl -5.6070 6.3582 -2.8179
Tl 0.5656 0.1279 6.0888
Tl 2.1649 4.8841 7.1600
Tl -3.4452 0.0592 -1.7327
Tl -4.4466 3.2171 3.9388
Tl -0.8038 1.8601 3.2259
```

## Properties
Energy of formation from the pure elements   0.1 kcal/mol of atoms
Polymorph energy (0 for the lowest one)   3 meV per atom
Calculated total energy   -2.359 eV/atom
Crystal system   cubic



The lowest calculated total energy belongs to which entry?
number 2